No. 1
{"formula": "LiCuF3", "functional": "PBE", "state": "relaxed", "ef_ev_per_atom": -2.333, "e_above_lowest_polymorph_mev_per_atom": 8, "e_tot_ry_per_atom": -0.3239, "sg": "P2_1/c (14)", "lattice": [[3.279, 0.000, 0.000], [0.000, 9.812, 0.000], [-2.174, 0.000, 7.432]], "species": ["Li", "Li", "Li", "Li", "Cu", "Cu", "Cu", "Cu", "F", "F", "F", "F", "F", "F", "F", "F", "F", "F", "F", "F"], "frac_coords": [[0.042, 0.183, 0.018], [0.042, 0.317, 0.518], [0.958, 0.683, 0.482], [0.958, 0.817, 0.982], [0.296, 0.512, 0.188], [0.296, 0.988, 0.688], [0.704, 0.012, 0.312], [0.704, 0.488, 0.812], [0.164, 0.117, 0.484], [0.164, 0.383, 0.984], [0.182, 0.574, 0.689], [0.182, 0.926, 0.189], [0.380, 0.655, 0.358], [0.380, 0.845, 0.858], [0.620, 0.155, 0.142], [0.620, 0.345, 0.642], [0.818, 0.074, 0.811], [0.818, 0.426, 0.311], [0.836, 0.617, 0.016], [0.836, 0.883, 0.516]]}

No. 2
{"formula": "Mn15Si26", "functional": "PBE", "state": "relaxed", "ef_ev_per_atom": -0.384, "e_tot_ry_per_atom": -0.5307, "sg": "I-42d (122)", "lattice": [[-2.748, 2.748, 32.560], [2.748, -2.748, 32.560], [2.748, 2.748, -32.560]], "species": ["Mn", "Mn", "Mn", "Mn", "Mn", "Mn", "Mn", "Mn", "Mn", "Mn", "Mn", "Mn", "Mn", "Mn", "Mn", "Mn", "Mn", "Mn", "Mn", "Mn", "Mn", "Mn", "Mn", "Mn", "Mn", "Mn", "Mn", "Mn", "Mn", "Mn", "Si", "Si", "Si", "Si", "Si", "Si", "Si", "Si", "Si", "Si", "Si", "Si", "Si", "Si", "Si", "Si", "Si", "Si", "Si", "Si", "Si", "Si", "Si", "Si", "Si", "Si", "Si", "Si", "Si", "Si", "Si", "Si", "Si", "Si", "Si", "Si", "Si", "Si", "Si", "Si", "Si", "Si", "Si", "Si", "Si", "Si", "Si", "Si", "Si", "Si", "Si", "Si"], "frac_coords": [[0.000, 0.000, 0.000], [0.017, 0.517, 0.500], [0.066, 0.066, 0.000], [0.082, 0.582, 0.500], [0.134, 0.134, 0.000], [0.151, 0.651, 0.500], [0.199, 0.199, 0.000], [0.215, 0.715, 0.500], [0.267, 0.267, 0.000], [0.285, 0.785, 0.500], [0.332, 0.332, 0.000], [0.349, 0.849, 0.500], [0.401, 0.401, 0.000], [0.418, 0.918, 0.500], [0.465, 0.465, 0.000], [0.483, 0.983, 0.500], [0.535, 0.535, 0.000], [0.551, 0.051, 0.500], [0.599, 0.599, 0.000], [0.616, 0.116, 0.500], [0.668, 0.668, 0.000], [0.684, 0.184, 0.500], [0.733, 0.733, 0.000], [0.750, 0.250, 0.500], [0.801, 0.801, 0.000], [0.816, 0.316, 0.500], [0.866, 0.866, 0.000], [0.884, 0.384, 0.500], [0.934, 0.934, 0.000], [0.949, 0.449, 0.500], [0.020, 0.515, 0.169], [0.066, 0.201, 0.558], [0.071, 0.599, 0.841], [0.086, 0.009, 0.616], [0.107, 0.049, 0.364], [0.123, 0.457, 0.983], [0.124, 0.168, 0.352], [0.149, 0.980, 0.495], [0.207, 0.373, 0.483], [0.220, 0.643, 0.884], [0.222, 0.625, 0.097], [0.228, 0.876, 0.043], [0.258, 0.893, 0.942], [0.265, 0.270, 0.669], [0.276, 0.793, 0.166], [0.346, 0.851, 0.831], [0.349, 0.321, 0.341], [0.357, 0.241, 0.576], [0.375, 0.472, 0.597], [0.393, 0.470, 0.384], [0.401, 0.242, 0.472], [0.404, 0.735, 0.005], [0.474, 0.140, 0.017], [0.485, 0.654, 0.505], [0.492, 0.934, 0.136], [0.522, 0.065, 0.148], [0.528, 0.125, 0.903], [0.530, 0.914, 0.924], [0.543, 0.526, 0.666], [0.601, 0.596, 0.331], [0.626, 0.478, 0.543], [0.627, 0.110, 0.834], [0.643, 0.508, 0.442], [0.664, 0.780, 0.424], [0.679, 0.020, 0.028], [0.684, 0.742, 0.636], [0.730, 0.399, 0.995], [0.758, 0.230, 0.159], [0.759, 0.336, 0.116], [0.770, 0.929, 0.528], [0.799, 0.357, 0.864], [0.815, 0.772, 0.648], [0.832, 0.185, 0.957], [0.860, 0.877, 0.334], [0.875, 0.778, 0.403], [0.890, 0.724, 0.517], [0.918, 0.374, 0.852], [0.935, 0.082, 0.457], [0.951, 0.316, 0.058], [0.980, 0.008, 0.659], [0.991, 0.607, 0.076], [0.992, 0.651, 0.972]]}

No. 3
{"formula": "RbLiMg14O15", "functional": "PBE", "state": "relaxed", "ef_ev_per_atom": -2.696, "e_above_lowest_polymorph_mev_per_atom": 21, "e_tot_ry_per_atom": -0.4096, "sg": "Pmm2 (25)", "lattice": [[4.362, 0.000, 0.000], [0.000, 8.756, 0.000], [0.000, 0.000, 8.494]], "species": ["Rb", "Li", "Mg", "Mg", "Mg", "Mg", "Mg", "Mg", "Mg", "Mg", "Mg", "Mg", "Mg", "Mg", "Mg", "Mg", "O", "O", "O", "O", "O", "O", "O", "O", "O", "O", "O", "O", "O", "O", "O"], "frac_coords": [[0.000, 0.000, 0.000], [0.000, 0.500, 0.108], [0.000, 0.000, 0.569], [0.000, 0.250, 0.330], [0.000, 0.285, 0.853], [0.000, 0.500, 0.589], [0.000, 0.715, 0.853], [0.000, 0.750, 0.330], [0.500, 0.000, 0.327], [0.500, 0.000, 0.841], [0.500, 0.249, 0.595], [0.500, 0.263, 0.099], [0.500, 0.500, 0.339], [0.500, 0.500, 0.851], [0.500, 0.737, 0.099], [0.500, 0.751, 0.595], [0.000, 0.000, 0.344], [0.000, 0.235, 0.611], [0.000, 0.271, 0.091], [0.000, 0.500, 0.357], [0.000, 0.500, 0.826], [0.000, 0.729, 0.091], [0.000, 0.765, 0.611], [0.500, 0.000, 0.095], [0.500, 0.000, 0.607], [0.500, 0.239, 0.847], [0.500, 0.249, 0.348], [0.500, 0.500, 0.091], [0.500, 0.500, 0.600], [0.500, 0.751, 0.348], [0.500, 0.761, 0.847]]}

No. 4
{"formula": "CaBO3", "functional": "PBE", "state": "relaxed", "ef_ev_per_atom": -2.021, "e_tot_ry_per_atom": -0.4641, "sg": "Pm-3m (221)", "lattice": [[3.480, 0.000, 0.000], [0.000, 3.480, 0.000], [0.000, 0.000, 3.480]], "species": ["Ca", "B", "O", "O", "O"], "frac_coords": [[0.000, 0.000, 0.000], [0.500, 0.500, 0.500], [0.000, 0.500, 0.500], [0.500, 0.000, 0.500], [0.500, 0.500, 0.000]]}

No. 5
{"formula": "K3NaP4H4O14", "functional": "PBE", "state": "relaxed", "ef_ev_per_atom": -2.323, "e_above_lowest_polymorph_mev_per_atom": 48, "e_tot_ry_per_atom": -0.4521, "sg": "C2/c (15)", "lattice": [[8.687, -3.679, 0.000], [8.687, 3.679, 0.000], [-1.947, 0.000, 11.186]], "species": ["K", "K", "K", "K", "K", "K", "Na", "Na", "P", "P", "P", "P", "P", "P", "P", "P", "H", "H", "H", "H", "H", "H", "H", "H", "O", "O", "O", "O", "O", "O", "O", "O", "O", "O", "O", "O", "O", "O", "O", "O", "O", "O", "O", "O", "O", "O", "O", "O", "O", "O", "O", "O"], "frac_coords": [[0.138, 0.862, 0.750], [0.168, 0.552, 0.012], [0.448, 0.832, 0.488], [0.552, 0.168, 0.512], [0.832, 0.448, 0.988], [0.862, 0.138, 0.250], [0.000, 0.500, 0.500], [0.500, 0.000, 0.000], [0.175, 0.220, 0.756], [0.182, 0.678, 0.397], [0.220, 0.175, 0.256], [0.322, 0.818, 0.103], [0.678, 0.182, 0.897], [0.780, 0.825, 0.744], [0.818, 0.322, 0.603], [0.825, 0.780, 0.244], [0.123, 0.477, 0.732], [0.390, 0.488, 0.259], [0.477, 0.123, 0.232], [0.488, 0.390, 0.759], [0.512, 0.610, 0.241], [0.523, 0.877, 0.768], [0.610, 0.512, 0.741], [0.877, 0.523, 0.268], [0.006, 0.315, 0.206], [0.050, 0.682, 0.280], [0.139, 0.855, 0.097], [0.145, 0.861, 0.403], [0.173, 0.610, 0.504], [0.186, 0.260, 0.889], [0.197, 0.339, 0.687], [0.260, 0.186, 0.389], [0.315, 0.006, 0.706], [0.318, 0.950, 0.220], [0.339, 0.197, 0.187], [0.390, 0.827, 0.996], [0.402, 0.489, 0.345], [0.489, 0.402, 0.845], [0.511, 0.598, 0.155], [0.598, 0.511, 0.655], [0.610, 0.173, 0.004], [0.661, 0.803, 0.813], [0.682, 0.050, 0.780], [0.685, 0.994, 0.294], [0.740, 0.814, 0.611], [0.803, 0.661, 0.313], [0.814, 0.740, 0.111], [0.827, 0.390, 0.496], [0.855, 0.139, 0.597], [0.861, 0.145, 0.903], [0.950, 0.318, 0.720], [0.994, 0.685, 0.794]]}

No. 6
{"formula": "KLi2SbP2O8", "functional": "PBE", "state": "relaxed", "ef_ev_per_atom": -2.475, "e_tot_ry_per_atom": -0.4653, "sg": "P1 (1)", "lattice": [[10.194, 0.000, 0.000], [5.013, 8.893, 0.000], [2.361, 4.346, 12.578]], "species": ["K", "K", "K", "K", "K", "K", "Li", "Li", "Li", "Li", "Li", "Li", "Li", "Li", "Li", "Li", "Li", "Li", "Sb", "Sb", "Sb", "Sb", "Sb", "Sb", "P", "P", "P", "P", "P", "P", "P", "P", "P", "P", "P", "P", "O", "O", "O", "O", "O", "O", "O", "O", "O", "O", "O", "O", "O", "O", "O", "O", "O", "O", "O", "O", "O", "O", "O", "O", "O", "O", "O", "O", "O", "O", "O", "O", "O", "O", "O", "O", "O", "O", "O", "O", "O", "O", "O", "O", "O", "O", "O", "O"], "frac_coords": [[0.000, 0.000, 0.000], [0.137, 0.499, 0.336], [0.299, 0.988, 0.685], [0.464, 0.534, 0.002], [0.635, 0.003, 0.334], [0.804, 0.503, 0.671], [0.121, 0.615, 0.079], [0.155, 0.388, 0.595], [0.285, 0.113, 0.414], [0.460, 0.610, 0.748], [0.475, 0.128, 0.754], [0.487, 0.385, 0.263], [0.616, 0.115, 0.070], [0.653, 0.890, 0.596], [0.785, 0.615, 0.410], [0.821, 0.388, 0.927], [0.951, 0.119, 0.749], [0.982, 0.890, 0.262], [0.136, 0.003, 0.334], [0.297, 0.517, 0.667], [0.460, 0.983, 0.009], [0.637, 0.497, 0.338], [0.817, 0.002, 0.663], [0.970, 0.502, 0.004], [0.132, 0.750, 0.835], [0.137, 0.259, 0.829], [0.298, 0.749, 0.176], [0.305, 0.254, 0.171], [0.469, 0.242, 0.503], [0.471, 0.757, 0.505], [0.636, 0.751, 0.839], [0.639, 0.254, 0.836], [0.797, 0.248, 0.167], [0.804, 0.751, 0.171], [0.967, 0.750, 0.501], [0.973, 0.254, 0.505], [0.054, 0.296, 0.932], [0.055, 0.315, 0.547], [0.058, 0.205, 0.407], [0.062, 0.186, 0.791], [0.122, 0.414, 0.738], [0.128, 0.603, 0.924], [0.133, 0.615, 0.532], [0.141, 0.393, 0.137], [0.212, 0.787, 0.277], [0.214, 0.696, 0.127], [0.216, 0.810, 0.875], [0.218, 0.703, 0.734], [0.298, 0.109, 0.264], [0.301, 0.903, 0.096], [0.307, 0.892, 0.471], [0.310, 0.141, 0.851], [0.378, 0.192, 0.460], [0.385, 0.317, 0.213], [0.391, 0.200, 0.075], [0.394, 0.274, 0.610], [0.462, 0.610, 0.204], [0.465, 0.612, 0.598], [0.468, 0.396, 0.417], [0.476, 0.395, 0.802], [0.552, 0.692, 0.797], [0.553, 0.818, 0.546], [0.559, 0.704, 0.408], [0.566, 0.783, 0.945], [0.623, 0.911, 0.751], [0.631, 0.108, 0.922], [0.634, 0.105, 0.527], [0.640, 0.884, 0.137], [0.712, 0.298, 0.266], [0.715, 0.182, 0.130], [0.725, 0.206, 0.736], [0.726, 0.313, 0.876], [0.799, 0.394, 0.075], [0.802, 0.602, 0.262], [0.803, 0.619, 0.859], [0.808, 0.387, 0.475], [0.882, 0.814, 0.215], [0.883, 0.796, 0.602], [0.885, 0.684, 0.463], [0.897, 0.702, 0.074], [0.963, 0.112, 0.199], [0.965, 0.899, 0.411], [0.969, 0.888, 0.800], [0.974, 0.103, 0.597]]}

No. 7
{"formula": "RbC8", "functional": "PBE", "state": "relaxed", "ef_ev_per_atom": -0.041, "e_tot_ry_per_atom": -0.6139, "sg": "Fddd (70)", "lattice": [[0.000, 4.309, 11.490], [2.487, 0.000, 11.490], [2.487, 4.309, 0.000]], "species": ["Rb", "Rb", "C", "C", "C", "C", "C", "C", "C", "C", "C", "C", "C", "C", "C", "C", "C", "C"], "frac_coords": [[0.125, 0.125, 0.125], [0.875, 0.875, 0.875], [0.084, 0.416, 0.833], [0.085, 0.418, 0.332], [0.167, 0.833, 0.416], [0.167, 0.833, 0.916], [0.332, 0.666, 0.085], [0.334, 0.668, 0.582], [0.416, 0.084, 0.167], [0.418, 0.085, 0.666], [0.582, 0.915, 0.334], [0.584, 0.916, 0.833], [0.666, 0.332, 0.418], [0.668, 0.334, 0.915], [0.833, 0.167, 0.084], [0.833, 0.167, 0.584], [0.915, 0.582, 0.668], [0.916, 0.584, 0.167]]}

No. 8
{"formula": "Sm2Al3Ge4", "functional": "PBE", "state": "relaxed", "ef_ev_per_atom": -0.466, "e_tot_ry_per_atom": -0.3541, "sg": "Cmce (64)", "lattice": [[3.032, -7.486, 0.000], [3.032, 7.486, 0.000], [0.000, 0.000, 7.968]], "species": ["Sm", "Sm", "Sm", "Sm", "Al", "Al", "Al", "Al", "Al", "Al", "Ge", "Ge", "Ge", "Ge", "Ge", "Ge", "Ge", "Ge"], "frac_coords": [[0.114, 0.886, 0.917], [0.386, 0.614, 0.417], [0.614, 0.386, 0.583], [0.886, 0.114, 0.083], [0.000, 0.000, 0.500], [0.033, 0.467, 0.750], [0.467, 0.033, 0.250], [0.500, 0.500, 0.000], [0.533, 0.967, 0.750], [0.967, 0.533, 0.250], [0.185, 0.815, 0.551], [0.203, 0.297, 0.750], [0.297, 0.203, 0.250], [0.315, 0.685, 0.051], [0.685, 0.315, 0.949], [0.703, 0.797, 0.750], [0.797, 0.703, 0.250], [0.815, 0.185, 0.449]]}